Density functional theory data (meta-GGA r2SCAN) for NaV6O11 after structural relaxation.

Output
- Energy relative to the elements: -2611 meV per atom
- Calculated volume: 10.4 Å³/atom
- Calculated total energy: -11.16 eV/atom

Cell lengths 5.7479, 5.7479, 13.1067 Å; angles 90.00, 90.00, 120.37 degrees
Element x y z (fractional)
Na (0.1582, 0.8418, 0.5000)
Na (0.8418, 0.1582, 0.0000)
V (0.0047, 0.5041, 0.2345)
V (0.0053, 0.9947, 0.2338)
V (0.1689, 0.8311, 0.9760)
V (0.4959, 0.9953, 0.2345)
V (0.4969, 0.5031, 0.5873)
V (0.4993, 0.5007, 0.8821)
V (0.5007, 0.4993, 0.3821)
V (0.5031, 0.4969, 0.0873)
V (0.5041, 0.0047, 0.7345)
V (0.8311, 0.1689, 0.4760)
V (0.9947, 0.0053, 0.7338)
V (0.9953, 0.4959, 0.7345)
O (0.1613, 0.3293, 0.1568)
O (0.1606, 0.3337, 0.8148)
O (0.1657, 0.8343, 0.8219)
O (0.1678, 0.8322, 0.1469)
O (0.1965, 0.3395, 0.4855)
O (0.3268, 0.6732, 0.6543)
O (0.3293, 0.1613, 0.6568)
O (0.3310, 0.6690, 0.3167)
O (0.3337, 0.1606, 0.3148)
O (0.3395, 0.1965, 0.9855)
O (0.3452, 0.6548, 0.9878)
O (0.6548, 0.3452, 0.4878)
O (0.6605, 0.8035, 0.4855)
O (0.6663, 0.8394, 0.8148)
O (0.6690, 0.3310, 0.8167)
O (0.6707, 0.8387, 0.1568)
O (0.6732, 0.3268, 0.1543)
O (0.8035, 0.6605, 0.9855)
O (0.8322, 0.1678, 0.6469)
O (0.8343, 0.1657, 0.3219)
O (0.8394, 0.6663, 0.3148)
O (0.8387, 0.6707, 0.6568)



Density functional theory data (meta-GGA r2SCAN) for Zr4Pd2O after structural relaxation.

Output
- Energy relative to the elements: -1265 meV per atom
- Calculated volume: 17.5 Å³/atom
- Calculated total energy: -21.68 eV/atom

Cell lengths 8.8448, 8.8448, 8.8448 Å; angles 60.00, 60.00, 60.00 degrees
Element x y z (fractional)
Zr (0.0000, 0.0000, 0.0000)
Zr (0.0000, 0.0000, 0.5000)
Zr (0.0000, 0.5000, 0.0000)
Zr (0.1934, 0.1934, 0.5566)
Zr (0.1934, 0.5566, 0.1934)
Zr (0.1934, 0.5566, 0.5566)
Zr (0.4434, 0.4434, 0.8066)
Zr (0.4434, 0.8066, 0.4434)
Zr (0.4434, 0.8066, 0.8066)
Zr (0.5000, 0.0000, 0.0000)
Zr (0.5566, 0.1934, 0.1934)
Zr (0.5566, 0.1934, 0.5566)
Zr (0.5566, 0.5566, 0.1934)
Zr (0.8066, 0.4434, 0.4434)
Zr (0.8066, 0.4434, 0.8066)
Zr (0.8066, 0.8066, 0.4434)
Pd (0.1480, 0.7840, 0.7840)
Pd (0.2160, 0.2160, 0.2160)
Pd (0.2160, 0.2160, 0.8520)
Pd (0.2160, 0.8520, 0.2160)
Pd (0.7840, 0.1480, 0.7840)
Pd (0.7840, 0.7840, 0.1480)
Pd (0.7840, 0.7840, 0.7840)
Pd (0.8520, 0.2160, 0.2160)
O (0.0000, 0.5000, 0.5000)
O (0.5000, 0.0000, 0.5000)
O (0.5000, 0.5000, 0.0000)
O (0.5000, 0.5000, 0.5000)



Density functional theory data (meta-GGA r2SCAN) for Na2FeO3 after structural relaxation.

Output
- Energy relative to the elements: -1662 meV per atom
- Calculated volume: 10.6 Å³/atom
- Calculated total energy: -8.24 eV/atom
- Excess energy over the best structure of this formula in the dataset: 0.21 eV per formula unit

Cell lengths 5.2439, 5.6095, 9.1049 Å; angles 90.00, 90.00, 71.31 degrees
Element x y z (fractional)
O (0.3084, 0.2027, 0.0000)
O (0.1916, 0.7973, 0.5000)
O (0.2403, 0.2020, 0.3107)
O (0.7597, 0.7981, 0.3107)
O (0.7598, 0.7982, 0.6891)
O (0.6916, 0.7973, 0.0000)
O (0.2599, 0.7982, 0.8109)
O (0.2598, 0.7981, 0.1893)
O (0.2402, 0.2018, 0.6892)
O (0.7401, 0.2018, 0.8109)
O (0.8084, 0.2027, 0.5000)
O (0.7402, 0.2019, 0.1893)
Na (0.0000, 0.0000, 0.0000)
Na (0.0000, 0.5000, 0.8428)
Na (0.5000, 0.5000, 0.0001)
Na (0.0000, 0.5000, 0.4998)
Na (0.5000, 0.5000, 0.6572)
Na (0.5000, 0.5000, 0.3432)
Na (0.0000, 0.5000, 0.1567)
Na (0.5000, 0.0000, 0.5000)
Fe (0.0000, 0.0000, 0.3327)
Fe (0.5000, 0.0000, 0.8327)
Fe (0.5000, 0.0000, 0.1673)
Fe (0.0000, 0.0000, 0.6673)



Density functional theory data (meta-GGA r2SCAN) for CsNiCl3 after structural relaxation.

Output
- Energy relative to the elements: -1532 meV per atom
- Calculated volume: 26.7 Å³/atom
- Calculated total energy: -12.64 eV/atom

Cell lengths 7.2088, 7.2088, 5.9402 Å; angles 90.00, 90.00, 120.00 degrees
Element x y z (fractional)
Cs (0.3333, 0.6667, 0.2500)
Cs (0.6667, 0.3333, 0.7500)
Ni (0.0000, 0.0000, 0.0000)
Ni (0.0000, 0.0000, 0.5000)
Cl (0.1521, 0.3041, 0.7500)
Cl (0.1521, 0.8479, 0.7500)
Cl (0.3041, 0.1521, 0.2500)
Cl (0.6959, 0.8479, 0.7500)
Cl (0.8479, 0.1521, 0.2500)
Cl (0.8479, 0.6959, 0.2500)



Density functional theory data (meta-GGA r2SCAN) for GaPt2 after structural relaxation.

Output
- Energy relative to the elements: -585 meV per atom
- Calculated volume: 15.0 Å³/atom
- Calculated total energy: -38.72 eV/atom

Cell lengths 16.5707, 3.9227, 5.5208 Å; angles 90.00, 90.00, 90.00 degrees
Element x y z (fractional)
Ga (0.0000, 0.0000, 0.0000)
Ga (0.0932, 0.5000, 0.3147)
Ga (0.2500, 0.5000, 0.7898)
Ga (0.4068, 0.5000, 0.3147)
Ga (0.5000, 0.0000, 0.0000)
Ga (0.5932, 0.5000, 0.6853)
Ga (0.7500, 0.5000, 0.2102)
Ga (0.9068, 0.5000, 0.6853)
Pt (0.0000, 0.0000, 0.5000)
Pt (0.0687, 0.5000, 0.7936)
Pt (0.1550, 0.0000, 0.0493)
Pt (0.1681, 0.0000, 0.5556)
Pt (0.2500, 0.5000, 0.2614)
Pt (0.3319, 0.0000, 0.5556)
Pt (0.3450, 0.0000, 0.0493)
Pt (0.4313, 0.5000, 0.7936)
Pt (0.5000, 0.0000, 0.5000)
Pt (0.5687, 0.5000, 0.2064)
Pt (0.6550, 0.0000, 0.9507)
Pt (0.6681, 0.0000, 0.4444)
Pt (0.7500, 0.5000, 0.7386)
Pt (0.8319, 0.0000, 0.4444)
Pt (0.8450, 0.0000, 0.9507)
Pt (0.9313, 0.5000, 0.2064)



Density functional theory data (meta-GGA r2SCAN) for CsLi2Cl3 after structural relaxation.

Output
- Energy relative to the elements: -2090 meV per atom
- Calculated volume: 25.9 Å³/atom
- Calculated total energy: -10.15 eV/atom

Cell lengths 12.4080, 7.3751, 6.8002 Å; angles 90.00, 90.00, 90.00 degrees
Element x y z (fractional)
Cs (0.0000, 0.1936, 0.2500)
Cs (0.0000, 0.8064, 0.7500)
Cs (0.5000, 0.3064, 0.7500)
Cs (0.5000, 0.6936, 0.2500)
Li (0.1858, 0.3509, 0.7385)
Li (0.1858, 0.6491, 0.2385)
Li (0.3142, 0.1491, 0.2385)
Li (0.3142, 0.8509, 0.7385)
Li (0.6858, 0.1491, 0.2615)
Li (0.6858, 0.8509, 0.7615)
Li (0.8142, 0.3509, 0.7615)
Li (0.8142, 0.6491, 0.2615)
Cl (0.0000, 0.3154, 0.7500)
Cl (0.0000, 0.6846, 0.2500)
Cl (0.2470, 0.1004, 0.5585)
Cl (0.2470, 0.8996, 0.0585)
Cl (0.2530, 0.3996, 0.0585)
Cl (0.2530, 0.6004, 0.5585)
Cl (0.5000, 0.1846, 0.2500)
Cl (0.5000, 0.8154, 0.7500)
Cl (0.7470, 0.3996, 0.4415)
Cl (0.7470, 0.6004, 0.9415)
Cl (0.7530, 0.1004, 0.9415)
Cl (0.7530, 0.8996, 0.4415)



Density functional theory data (meta-GGA r2SCAN) for ZrTiO4 after structural relaxation.

Output
- Energy relative to the elements: -3492 meV per atom
- Calculated volume: 11.4 Å³/atom
- Calculated total energy: -13.42 eV/atom

Cell lengths 4.7427, 5.1038, 5.6507 Å; angles 90.00, 90.00, 90.00 degrees
Element x y z (fractional)
Zr (0.0000, 0.0000, 0.0780)
Zr (0.5000, 0.5000, 0.9220)
Ti (0.0000, 0.5000, 0.4289)
Ti (0.5000, 0.0000, 0.5711)
O (0.2168, 0.6602, 0.1487)
O (0.2367, 0.1769, 0.3752)
O (0.2633, 0.6769, 0.6248)
O (0.2832, 0.1602, 0.8513)
O (0.7168, 0.8398, 0.8513)
O (0.7367, 0.3231, 0.6248)
O (0.7633, 0.8231, 0.3752)
O (0.7832, 0.3398, 0.1487)



Density functional theory data (meta-GGA r2SCAN) for Li2MgGeO4 after structural relaxation.

Output
- Energy relative to the elements: -2384 meV per atom
- Calculated volume: 10.7 Å³/atom
- Calculated total energy: -8.22 eV/atom

Cell lengths 6.2858, 5.4652, 4.9791 Å; angles 90.00, 90.00, 90.00 degrees
Element x y z (fractional)
Li (0.2491, 0.1675, 0.0000)
Li (0.2509, 0.8325, 0.5000)
Li (0.7491, 0.8325, 0.5000)
Li (0.7509, 0.1675, 0.0000)
Mg (0.0000, 0.3338, 0.4994)
Mg (0.5000, 0.6662, 0.9994)
Ge (0.0000, 0.6753, 0.0062)
Ge (0.5000, 0.3247, 0.5062)
O (0.0000, 0.3671, 0.8949)
O (0.0000, 0.6706, 0.3607)
O (0.2317, 0.8250, 0.8931)
O (0.2683, 0.1750, 0.3931)
O (0.5000, 0.3294, 0.8607)
O (0.5000, 0.6329, 0.3949)
O (0.7317, 0.1750, 0.3931)
O (0.7683, 0.8250, 0.8931)



Density functional theory data (meta-GGA r2SCAN) for Hf3P2 after structural relaxation.

Output
- Energy relative to the elements: -1255 meV per atom
- Calculated volume: 17.8 Å³/atom
- Calculated total energy: -31.95 eV/atom

Cell lengths 10.1555, 3.5770, 9.8071 Å; angles 90.00, 90.00, 90.00 degrees
Element x y z (fractional)
Hf (0.0454, 0.2500, 0.1268)
Hf (0.1254, 0.7500, 0.5658)
Hf (0.2160, 0.2500, 0.7982)
Hf (0.2840, 0.7500, 0.2982)
Hf (0.3746, 0.2500, 0.0658)
Hf (0.4546, 0.7500, 0.6268)
Hf (0.5454, 0.2500, 0.3732)
Hf (0.6254, 0.7500, 0.9342)
Hf (0.7160, 0.2500, 0.7018)
Hf (0.7840, 0.7500, 0.2018)
Hf (0.8746, 0.2500, 0.4342)
Hf (0.9546, 0.7500, 0.8732)
P (0.0274, 0.7500, 0.3222)
P (0.1929, 0.7500, 0.0013)
P (0.3071, 0.2500, 0.5013)
P (0.4726, 0.2500, 0.8222)
P (0.5274, 0.7500, 0.1778)
P (0.6929, 0.7500, 0.4987)
P (0.8071, 0.2500, 0.9987)
P (0.9726, 0.2500, 0.6778)



Density functional theory data (meta-GGA r2SCAN) for Co3W after structural relaxation.

Output
- Energy relative to the elements: 109 meV per atom
- Calculated volume: 11.4 Å³/atom
- Calculated total energy: -22.66 eV/atom

Cell lengths 5.0552, 5.0552, 4.1171 Å; angles 90.00, 90.00, 120.00 degrees
Element x y z (fractional)
Co (0.1628, 0.3256, 0.2500)
Co (0.1628, 0.8372, 0.2500)
Co (0.3256, 0.1628, 0.7500)
Co (0.6744, 0.8372, 0.2500)
Co (0.8372, 0.1628, 0.7500)
Co (0.8372, 0.6744, 0.7500)
W (0.3333, 0.6667, 0.7500)
W (0.6667, 0.3333, 0.2500)



Density functional theory data (meta-GGA r2SCAN) for Tc2N after structural relaxation.

Output
- Energy relative to the elements: -233 meV per atom
- Calculated volume: 11.1 Å³/atom
- Calculated total energy: -20.59 eV/atom

Cell lengths 2.8247, 2.8247, 9.6808 Å; angles 90.00, 90.00, 120.00 degrees
Element x y z (fractional)
Tc (0.3333, 0.6667, 0.1075)
Tc (0.3333, 0.6667, 0.3925)
Tc (0.6667, 0.3333, 0.6075)
Tc (0.6667, 0.3333, 0.8925)
N (0.3333, 0.6667, 0.7500)
N (0.6667, 0.3333, 0.2500)



Density functional theory data (meta-GGA r2SCAN) for YbPmPt2 after structural relaxation.

Output
- Energy relative to the elements: -1274 meV per atom
- Calculated volume: 21.3 Å³/atom
- Calculated total energy: -43.54 eV/atom

Cell lengths 6.9892, 6.9892, 6.9892 Å; angles 90.00, 90.00, 90.00 degrees
Element x y z (fractional)
Yb (0.0000, 0.0000, 0.0000)
Yb (0.0000, 0.5000, 0.5000)
Yb (0.5000, 0.0000, 0.5000)
Yb (0.5000, 0.5000, 0.0000)
Pm (0.0000, 0.0000, 0.5000)
Pm (0.0000, 0.5000, 0.0000)
Pm (0.5000, 0.0000, 0.0000)
Pm (0.5000, 0.5000, 0.5000)
Pt (0.2500, 0.2500, 0.2500)
Pt (0.2500, 0.2500, 0.7500)
Pt (0.2500, 0.7500, 0.2500)
Pt (0.2500, 0.7500, 0.7500)
Pt (0.7500, 0.2500, 0.2500)
Pt (0.7500, 0.2500, 0.7500)
Pt (0.7500, 0.7500, 0.2500)
Pt (0.7500, 0.7500, 0.7500)